No. 1
A plane-wave DFT calculation with PBE was carried out for a relaxed structure of Cs3Na2SnP3.

Properties
ΔE_f (kcal/mol of atoms): -8.8
Total magnetic moment (μB/f.u.): 0.00

a b c (Å): 20.6371 6.9229 16.5582
angles (deg): 90.00 90.00 90.00
With the nearest neighbours (Å) after each atom.
Space group Cmce (No. 64)
One atom of each set of equivalent atoms:
Cs1 0.0000 0.2325 0.1787 x8  4 P 3.57-3.96, 2 Na 3.76, 2 Sn 3.93
Cs2 0.1671 0.2257 0.8273 x16  3 Na 3.64-3.87, 5 P 3.67-3.91, 1 Sn 3.81
Na1 0.0806 0.0000 0.0000 x8  4 P 2.93-2.99
Na2 0.2459 0.0000 0.0000 x8  4 P 2.93-3.07
Sn1 0.0874 0.0000 0.5000 x8  4 P 2.58-2.65
P1 0.0000 0.2008 0.4176 x8  2 Sn 2.65
P2 0.1571 0.2182 0.5913 x16  1 Sn 2.58

No. 2
A plane-wave DFT calculation with PBE was carried out for a relaxed structure of LiLuGe.

Properties
ΔE_f (kcal/mol of atoms): -15.9

a b c (Å): 6.9849 6.9849 4.1962
angles (deg): 90.00 90.00 120.00
With the nearest neighbours (Å) after each atom.
Space group P-62m (No. 189)
One atom of each set of equivalent atoms:
Li1 0.0000 0.2400 0.0000 x3  4 Ge 2.69-2.71, 2 Li 2.90
Lu1 0.0000 0.5817 0.5000 x3  5 Ge 2.92-2.97, 2 Li 3.18
Ge1 0.0000 0.0000 0.5000 x1  6 Li 2.69, 3 Lu 2.92
Ge2 0.3333 0.6667 0.0000 x2  3 Li 2.71, 6 Lu 2.97

No. 3
A plane-wave DFT calculation with PBE was carried out for a relaxed structure of CaMg6AlO8.

Properties
ΔE_f (kcal/mol of atoms): -65.8
Total magnetic moment (μB/f.u.): 0.00
Energy above the most stable polymorph in this dataset (meV per atom): 0.0

a b c (Å): 4.4428 4.4428 8.5827
angles (deg): 90.00 90.00 90.00
With the nearest neighbours (Å) after each atom.
Space group P4/mmm (No. 123)
One atom of each set of equivalent atoms:
Ca1 0.0000 0.0000 0.0000 x1  6 O 2.22-2.37
Mg1 0.0000 0.5000 0.2553 x4  6 O 2.10-2.23
Mg2 0.5000 0.5000 0.0000 x1  6 O 2.14-2.22
Mg3 0.5000 0.5000 0.5000 x1  6 O 2.16-2.22
Al1 0.0000 0.0000 0.5000 x1  2 O 1.93
O1 0.0000 0.0000 0.2756 x2  1 Al 1.93
O2 0.0000 0.5000 0.0000 x2  4 Mg 2.19-2.22, 2 Ca 2.22
O3 0.0000 0.5000 0.5000 x2  4 Mg 2.10-2.22, 2 Al 2.22
O4 0.5000 0.5000 0.2488 x2  6 Mg 2.14-2.22

No. 4
A plane-wave DFT calculation with PBE was carried out for a relaxed structure of Ho2Re3Si5.

Properties
ΔE_f (kcal/mol of atoms): -12.8

a b c (Å): 10.9893 10.9893 5.5310
angles (deg): 90.00 90.00 90.00
With the nearest neighbours (Å) after each atom.
Space group P4/mnc (No. 128)
One atom of each set of equivalent atoms:
Ho1 0.0768 0.2390 0.0000 x8  7 Si 2.84-3.15, 2 Re 3.13
Re1 0.0000 0.5000 0.2500 x4  6 Si 2.48-2.70, 2 Re 2.77
Re2 0.1252 0.8544 0.5000 x8  6 Si 2.46-2.55
Si1 0.0000 0.0000 0.2406 x4  4 Re 2.55, 1 Si 2.66
Si2 0.0260 0.3146 0.5000 x8  4 Re 2.46-2.49, 2 Si 2.60
Si3 0.1739 0.6739 0.2500 x8  3 Re 2.48-2.70, 4 Si 2.60-2.77

No. 5
A plane-wave DFT calculation with PBE was carried out for a relaxed structure of DyAlZn.

Properties
ΔE_f (kcal/mol of atoms): -10.5

a b c (Å): 4.4846 4.4846 7.1624
angles (deg): 90.00 90.00 120.00
With the nearest neighbours (Å) after each atom.
Space group P6_3/mmc (No. 194)
One atom of each set of equivalent atoms:
Dy1 0.0000 0.0000 0.0000 x2  6 Al 3.15, 6 Zn 3.15
Al1 0.3333 0.6667 0.2500 x2  3 Zn 2.59
Zn1 0.3333 0.6667 0.7500 x2  3 Al 2.59

No. 6
A plane-wave DFT calculation with PBE was carried out for a relaxed structure of Fe3NiAs4.

Properties
ΔE_f (kcal/mol of atoms): -5.5

a b c (Å): 5.2628 3.4686 5.9230
angles (deg): 90.00 90.22 90.00
With the nearest neighbours (Å) after each atom.
Space group Pm (No. 6)
One atom of each set of equivalent atoms:
Fe1 0.0000 0.0000 0.0000 x1  6 As 2.27-2.46
Fe2 0.0024 0.5000 0.5992 x1  6 As 2.32-2.52
Fe3 0.4994 0.0000 0.0927 x1  6 As 2.36-2.45
Ni1 0.5056 0.5000 0.4999 x1  6 As 2.34-2.55
As1 0.1987 0.5000 0.2124 x1  1 Ni 2.34, 5 Fe 2.38-2.52
As2 0.2945 0.0000 0.7199 x1  4 Fe 2.27-2.45, 2 Ni 2.44
As3 0.7102 0.5000 0.8911 x1  5 Fe 2.32-2.40, 1 Ni 2.55
As4 0.8113 0.0000 0.3791 x1  4 Fe 2.36-2.46, 2 Ni 2.47

No. 7
A plane-wave DFT calculation with PBE was carried out for a relaxed structure of BaSi6.

Properties
ΔE_f (kcal/mol of atoms): -0.5
Total magnetic moment (μB/f.u.): 0.00

a b c (Å): 4.5042 10.4764 12.0079
angles (deg): 90.00 90.00 90.00
With the nearest neighbours (Å) after each atom.
Space group Cmcm (No. 63)
One atom of each set of equivalent atoms:
Ba1 0.0000 0.2205 0.2500 x4  16 Si 3.21-3.57
Si1 0.0000 0.0624 0.6470 x8  4 Si 2.41-2.49
Si2 0.0000 0.2547 0.5370 x8  4 Si 2.41-2.46
Si3 0.0000 0.4785 0.5978 x8  4 Si 2.39-2.49

No. 8
A plane-wave DFT calculation with PBE was carried out for a relaxed structure of Cu3Pd.

Properties
ΔE_f (kcal/mol of atoms): -2.4

a b c (Å): 3.7283 3.7283 25.8251
angles (deg): 90.00 90.00 90.00
With the nearest neighbours (Å) after each atom.
Space group P4/mmm (No. 123)
One atom of each set of equivalent atoms:
Cu1 0.0000 0.0000 0.0000 x1  8 Cu 2.62, 4 Pd 2.64
Cu2 0.0000 0.0000 0.1429 x2  8 Cu 2.62, 4 Pd 2.64
Cu3 0.0000 0.5000 0.0714 x4  8 Cu 2.62-2.64, 4 Pd 2.62
Cu4 0.0000 0.5000 0.2143 x4  4 Pd 2.62, 8 Cu 2.62-2.64
Cu5 0.0000 0.5000 0.3571 x4  4 Pd 2.62, 8 Cu 2.62-2.64
Cu6 0.0000 0.5000 0.5000 x2  8 Cu 2.62-2.64, 4 Pd 2.62
Cu7 0.5000 0.5000 0.2857 x2  8 Cu 2.62, 4 Pd 2.64
Cu8 0.5000 0.5000 0.4286 x2  8 Cu 2.62, 4 Pd 2.64
Pd1 0.0000 0.0000 0.2856 x2  12 Cu 2.62-2.64
Pd2 0.0000 0.0000 0.4285 x2  12 Cu 2.62-2.64
Pd3 0.5000 0.5000 0.0000 x1  12 Cu 2.62-2.64
Pd4 0.5000 0.5000 0.1429 x2  12 Cu 2.62-2.64

No. 9
A plane-wave DFT calculation with PBE was carried out for a relaxed structure of YMg14Cu.

Properties
ΔE_f (kcal/mol of atoms): 0.2
Total magnetic moment (μB/f.u.): 0.00
Energy above the most stable polymorph in this dataset (meV per atom): 0.0

a b c (Å): 10.2507 6.2308 11.3589
angles (deg): 90.00 90.00 90.00
With the nearest neighbours (Å) after each atom.
Space group Amm2 (No. 38)
One atom of each set of equivalent atoms:
Y1 0.0000 0.0000 0.0000 x2  2 Cu 3.14, 10 Mg 3.15-3.26
Mg1 0.0000 0.2386 0.2518 x4  1 Cu 2.83, 5 Mg 2.97-3.11
Mg2 0.2236 0.0000 0.6356 x4  1 Cu 3.01, 9 Mg 3.11-3.36
Mg3 0.2500 0.2491 0.3964 x8  10 Mg 3.05-3.36, 1 Cu 3.09, 1 Y 3.22
Mg4 0.2593 0.0000 0.1496 x4  11 Mg 3.08-3.27, 1 Y 3.15
Mg5 0.5000 0.0000 0.4849 x2  12 Mg 3.12-3.31
Mg6 0.5000 0.0000 0.9815 x2  12 Mg 3.12-3.27
Mg7 0.5000 0.2456 0.7332 x4  12 Mg 3.06-3.41
Cu1 0.0000 0.0000 0.4633 x2  8 Mg 2.83-3.09, 2 Y 3.14

No. 10
A plane-wave DFT calculation with PBE was carried out for a relaxed structure of Th2Ge.

Properties
ΔE_f (kcal/mol of atoms): -13.3

a b c (Å): 7.4110 7.4110 6.0947
angles (deg): 90.00 90.00 90.00
With the nearest neighbours (Å) after each atom.
Space group I4/mcm (No. 140)
One atom of each set of equivalent atoms:
Th1 0.1637 0.3363 0.0000 x8  4 Ge 3.16, 1 Th 3.43
Ge1 0.0000 0.0000 0.2500 x4  2 Ge 3.05, 8 Th 3.16

No. 11
A plane-wave DFT calculation with PBE was carried out for a relaxed structure of MgAl2H4Pb2O4F6.

Properties
ΔE_f (kcal/mol of atoms): -55.1
Total magnetic moment (μB/f.u.): 0.00
Energy above the most stable polymorph in this dataset (meV per atom): 24.7

a b c (Å): 4.8307 7.6053 7.6145
angles (deg): 112.38 95.97 98.58
With the nearest neighbours (Å) after each atom.
Space group P-1 (No. 2)
One atom of each set of equivalent atoms:
Mg1 0.0000 0.0000 0.0000 x1  4 F 1.97
Al1 0.3473 0.3411 0.3281 x2  3 F 1.84-1.88, 3 O 1.87-1.92
H1 0.1626 0.6581 0.4994 x2  1 O 0.99
H2 0.2657 0.6065 0.8351 x2  1 O 0.99
Pb1 0.4216 0.2415 0.7775 x2  2 O 2.40-2.62, 1 F 2.64
O1 0.3331 0.5998 0.4829 x2  1 H 0.99
O2 0.4588 0.5798 0.8455 x2  1 H 0.99
F1 0.0098 0.2774 0.1525 x2  1 H 1.70, 1 Al 1.87
F2 0.1265 0.2424 0.4660 x2  1 H 1.68, 1 Al 1.84
F3 0.3708 0.0850 0.1728 x2  1 Al 1.88, 1 Mg 1.97

No. 12
A plane-wave DFT calculation with PBE was carried out for a relaxed structure of SrGa2Rh2.

Properties
ΔE_f (kcal/mol of atoms): -16.2

a b c (Å): 5.8271 10.6159 13.5882
angles (deg): 90.00 90.00 90.00
With the nearest neighbours (Å) after each atom.
Space group Fddd (No. 70, origin choice 2)
One atom of each set of equivalent atoms:
Sr1 0.1250 0.1250 0.1250 x8  8 Rh 3.31-3.53, 6 Ga 3.38-3.49
Ga1 0.1250 0.3062 0.6250 x16  4 Rh 2.44-2.49
Rh1 0.1250 0.1250 0.5089 x16  4 Ga 2.44-2.49

No. 13
A plane-wave DFT calculation with PBE was carried out for a relaxed structure of TmHg.

Properties
ΔE_f (kcal/mol of atoms): -11.1

a b c (Å): 3.6823 3.6823 3.6823
angles (deg): 90.00 90.00 90.00
With the nearest neighbours (Å) after each atom.
Space group Pm-3m (No. 221)
One atom of each set of equivalent atoms:
Tm1 0.0000 0.0000 0.0000 x1  8 Hg 3.19
Hg1 0.5000 0.5000 0.5000 x1  8 Tm 3.19

No. 14
A plane-wave DFT calculation with PBE was carried out for a relaxed structure of MoW2Se4S2.

Properties
ΔE_f (kcal/mol of atoms): -18.0
Total magnetic moment (μB/f.u.): 0.00
Energy above the most stable polymorph in this dataset (meV per atom): 0.5

a b c (Å): 3.2745 3.2745 30.2321
angles (deg): 90.00 90.00 120.00
With the nearest neighbours (Å) after each atom.
Space group P3m1 (No. 156)
One atom of each set of equivalent atoms:
Mo1 0.0000 0.0000 0.0000 x1  6 Se 2.54
W1 0.0000 0.0000 0.4627 x1  6 S 2.44
W2 0.3333 0.6667 0.2314 x1  6 Se 2.54
Se1 0.0000 0.0000 0.1751 x1  3 W 2.54
Se2 0.0000 0.0000 0.2876 x1  3 W 2.54
Se3 0.3333 0.6667 0.0559 x1  3 Mo 2.54
Se4 0.3333 0.6667 0.9441 x1  3 Mo 2.54
S1 0.3333 0.6667 0.4116 x1  3 W 2.44
S2 0.3333 0.6667 0.5138 x1  3 W 2.44

No. 15
A plane-wave DFT calculation with PBE was carried out for a relaxed structure of CsAlH2.

Properties
ΔE_f (kcal/mol of atoms): 5.4
Total magnetic moment (μB/f.u.): 0.00

a b c (Å): 6.8393 6.8393 13.4414
angles (deg): 90.00 90.00 90.00
With the nearest neighbours (Å) after each atom.
Space group I4_1/a (No. 88, origin choice 2)
One atom of each set of equivalent atoms:
Cs1 0.0000 0.0000 0.0000 x8  6 H 2.93-3.02
Al1 0.0000 0.0000 0.5000 x8  4 H 2.03-2.07
H1 0.0039 0.0954 0.7807 x16  2 Al 2.03-2.07, 1 H 2.11

No. 16
A plane-wave DFT calculation with PBE was carried out for a relaxed structure of Ba2YUO6.

Properties
ΔE_f (kcal/mol of atoms): -84.1
Total magnetic moment (μB/f.u.): 1.00

a b c (Å): 8.8233 8.8233 8.8233
angles (deg): 90.00 90.00 90.00
With the nearest neighbours (Å) after each atom.
Space group Fm-3m (No. 225)
One atom of each set of equivalent atoms:
Ba1 0.2500 0.2500 0.2500 x8  12 O 3.12
Y1 0.0000 0.0000 0.0000 x4  6 O 2.26
U1 0.0000 0.0000 0.5000 x4  6 O 2.15
O1 0.0000 0.0000 0.2558 x24  1 U 2.15, 1 Y 2.26

No. 17
A plane-wave DFT calculation with PBE was carried out for a relaxed structure of PrSi2Rh2.

Properties
ΔE_f (kcal/mol of atoms): -24.8

a b c (Å): 4.1238 4.1238 10.2457
angles (deg): 90.00 90.00 90.00
With the nearest neighbours (Å) after each atom.
Space group I4/mmm (No. 139)
One atom of each set of equivalent atoms:
Pr1 0.0000 0.0000 0.0000 x2  8 Si 3.19, 8 Rh 3.29
Si1 0.0000 0.0000 0.3747 x4  4 Rh 2.43, 1 Si 2.57
Rh1 0.0000 0.5000 0.2500 x4  4 Si 2.43

No. 18
A plane-wave DFT calculation with PBE was carried out for a relaxed structure of PdS2Cl6.

Properties
ΔE_f (kcal/mol of atoms): -16.2

a b c (Å): 4.7551 6.9820 8.4142
angles (deg): 104.37 97.31 91.85
With the nearest neighbours (Å) after each atom.
Space group P-1 (No. 2)
One atom of each set of equivalent atoms:
Pd1 0.0000 0.0000 0.0000 x1  2 S 2.31, 2 Cl 2.33
S1 0.2938 0.2260 0.2066 x2  2 Cl 2.03-2.05
Cl1 0.0899 0.4818 0.2156 x2  1 S 2.05
Cl2 0.2545 0.1822 0.4330 x2  1 S 2.03
Cl3 0.2876 0.1288 0.8413 x2  1 Pd 2.33